Record 1
The following is a PBE+U calculation of crystalline MnCo2O6 at its relaxed geometry, from the Materials Project database.

Cell lengths 4.9574, 4.9574, 9.6284 Å; angles 90.00, 90.00, 120.09 degrees
Atoms (fractional coordinates):
O1 0.0000 0.3385 0.0988
O2 0.5000 0.8385 0.4012
O3 0.0000 0.6615 0.9012
O4 0.6615 0.0000 0.9012
O5 0.5000 0.1615 0.5988
O6 0.3385 0.0000 0.0988
O7 0.8389 0.8389 0.5988
O8 0.3389 0.3389 0.9012
O9 0.1611 0.1611 0.4012
O10 0.6611 0.6611 0.0988
O11 0.8385 0.5000 0.4012
O12 0.1615 0.5000 0.5988
Co1 0.3333 0.6667 0.0000
Co2 0.8333 0.1667 0.5000
Co3 0.6667 0.3333 0.0000
Co4 0.1667 0.8333 0.5000
Mn1 0.0000 0.0000 0.0000
Mn2 0.5000 0.5000 0.5000

The crystal system is orthorhombic. As for the space-group type: Cmce. The calculation puts the formation energy at -1.30 eV per atom. The value obtained for the volume is 204.7 Å³/cell.

Record 2
The following is a PBE+U calculation of crystalline Mn2CoO4 at its relaxed geometry, from the Materials Project database.

Cell lengths 6.1644, 6.1975, 8.2708 Å; angles 89.91, 89.59, 83.98 degrees
Atoms (fractional coordinates):
Mn1 0.2515 0.9993 0.6229
Mn2 0.0038 0.7489 0.3735
Mn3 0.0082 0.2564 0.3757
Mn4 0.0010 0.0056 0.0041
Mn5 0.4944 0.7445 0.8744
Mn6 0.7486 0.0008 0.6231
Mn7 0.4945 0.2507 0.8771
Mn8 0.7488 0.5015 0.1266
O1 0.7334 0.5094 0.8905
O2 0.0231 0.2921 0.1364
O3 0.0079 0.7275 0.1392
O4 0.2707 0.9907 0.8592
O5 0.9907 0.7670 0.6127
O6 0.0082 0.2341 0.6139
O7 0.5077 0.2352 0.6365
O8 0.4777 0.7141 0.1167
O9 0.2634 0.4917 0.8909
O10 0.7666 0.4901 0.3623
O11 0.4931 0.7638 0.6346
O12 0.2336 0.0090 0.3858
O13 0.2370 0.5087 0.3617
O14 0.7671 0.9920 0.3816
O15 0.4929 0.2651 0.1142
O16 0.7266 0.0069 0.8632
Co1 0.0014 0.5013 0.7515
Co2 0.4987 0.4986 0.4984
Co3 0.4986 0.9957 0.2467
Co4 0.2507 0.4995 0.1267

The crystal system is triclinic. As for the space-group type: P1. The calculation puts the formation energy at -1.80 eV per atom. The value obtained for the volume is 314.2 Å³/cell.

Record 3
The following is a PBE+U calculation of crystalline Mn2CoO6 at its relaxed geometry, from the Materials Project database.

Cell lengths 6.5235, 6.5235, 5.8591 Å; angles 76.11, 76.11, 25.67 degrees
Atoms (fractional coordinates):
Mn1 0.6660 0.6660 0.1699
Mn2 0.3340 0.3340 0.8301
O1 0.4902 0.4902 0.7143
O2 0.1528 0.1528 0.3930
O3 0.8231 0.8231 0.0553
O4 0.5098 0.5098 0.2857
O5 0.8472 0.8472 0.6070
O6 0.1769 0.1769 0.9447
Co1 0.0000 0.0000 0.5000

The crystal system is monoclinic. As for the space-group type: C2/m. The calculation puts the formation energy at -1.54 eV per atom. The value obtained for the volume is 104.7 Å³/cell.

Record 4
The following is a PBE+U calculation of crystalline Mn5Co3O16 at its relaxed geometry, from the Materials Project database.

Cell lengths 5.6762, 5.6963, 8.7820 Å; angles 89.99, 90.70, 120.14 degrees
Atoms (fractional coordinates):
O1 0.0429 0.5216 0.3331
O2 0.0042 0.0021 0.8194
O3 0.5135 0.4735 0.8388
O4 0.8402 0.6698 0.1030
O5 0.8407 0.1695 0.1024
O6 0.4748 0.9603 0.3393
O7 0.5133 0.0397 0.8387
O8 0.6697 0.8349 0.5981
O9 0.0061 0.0032 0.3173
O10 0.6657 0.3328 0.5993
O11 0.1706 0.3303 0.6034
O12 0.9629 0.4816 0.8431
O13 0.3294 0.6647 0.1001
O14 0.3288 0.1643 0.1077
O15 0.1705 0.8407 0.6033
O16 0.4744 0.5145 0.3396
Mn1 0.6638 0.8317 0.2128
Mn2 0.8317 0.6649 0.7119
Mn3 0.3336 0.6671 0.4845
Mn4 0.8318 0.1670 0.7119
Mn5 0.6659 0.3326 0.9862
Co1 0.1661 0.3345 0.2077
Co2 0.3332 0.1667 0.7065
Co3 0.1663 0.8321 0.2076

The crystal system is triclinic. As for the space-group type: P1. The calculation puts the formation energy at -1.49 eV per atom. The value obtained for the volume is 245.5 Å³/cell.

Record 5
The following is a PBE+U calculation of crystalline MnCo2O4 at its relaxed geometry, from the Materials Project database.

Cell lengths 6.0409, 6.0409, 6.0409 Å; angles 60.00, 60.00, 60.00 degrees
Atoms (fractional coordinates):
O1 0.3631 0.3631 0.3631
O2 0.9107 0.3631 0.3631
O3 0.3631 0.9107 0.3631
O4 0.8869 0.8869 0.3393
O5 0.3393 0.8869 0.8869
O6 0.8869 0.8869 0.8869
O7 0.3631 0.3631 0.9107
O8 0.8869 0.3393 0.8869
Co1 0.1250 0.1250 0.6250
Co2 0.6250 0.1250 0.1250
Co3 0.1250 0.1250 0.1250
Co4 0.1250 0.6250 0.1250
Mn1 0.5000 0.5000 0.5000
Mn2 0.7500 0.7500 0.7500

The crystal system is cubic. As for the space-group type: Fd-3m. The calculation puts the formation energy at -1.47 eV per atom. The value obtained for the volume is 155.9 Å³/cell.

Record 6
The following is a PBE+U calculation of crystalline Mn2CoO6 at its relaxed geometry, from the Materials Project database.

Cell lengths 5.1009, 5.1009, 9.2336 Å; angles 90.00, 90.00, 120.17 degrees
Atoms (fractional coordinates):
O1 0.8356 0.8356 0.6028
O2 0.3368 0.9994 0.1038
O3 0.8368 0.4994 0.3962
O4 0.0006 0.6632 0.8962
O5 0.3356 0.3356 0.8972
O6 0.5006 0.1632 0.6038
O7 0.6644 0.6644 0.1028
O8 0.9994 0.3368 0.1038
O9 0.1632 0.5006 0.6038
O10 0.1644 0.1644 0.3972
O11 0.4994 0.8368 0.3962
O12 0.6632 0.0006 0.8962
Mn1 0.1668 0.8332 0.5000
Mn2 0.8332 0.1668 0.5000
Mn3 0.3332 0.6668 0.0000
Mn4 0.6668 0.3332 0.0000
Co1 0.0000 0.0000 0.0000
Co2 0.5000 0.5000 0.5000

The crystal system is orthorhombic. As for the space-group type: Cmce. The calculation puts the formation energy at -1.43 eV per atom. The value obtained for the volume is 207.7 Å³/cell.

Record 7
The following is a PBE+U calculation of crystalline MnCo4O8 at its relaxed geometry, from the Materials Project database.

Cell lengths 5.7560, 5.7560, 5.9789 Å; angles 59.75, 59.75, 59.96 degrees
Atoms (fractional coordinates):
O1 0.7485 0.7485 0.2110
O2 0.2535 0.7178 0.7853
O3 0.2822 0.7465 0.2147
O4 0.7375 0.7375 0.8039
O5 0.7178 0.2535 0.7853
O6 0.7465 0.2822 0.2147
O7 0.2515 0.2515 0.7890
O8 0.2625 0.2625 0.1961
Co1 0.0000 0.0000 0.0000
Co2 0.5000 0.5000 0.5000
Co3 0.5000 0.0000 0.0000
Co4 0.0000 0.5000 0.0000
Mn1 0.5000 0.5000 0.0000

The crystal system is monoclinic. As for the space-group type: C2/m. The calculation puts the formation energy at -1.30 eV per atom. The value obtained for the volume is 139.5 Å³/cell.

Record 8
The following is a PBE+U calculation of crystalline Mn2CoO4 at its relaxed geometry, from the Materials Project database.

Cell lengths 5.8081, 5.7935, 6.2313 Å; angles 62.46, 62.22, 90.00 degrees
Atoms (fractional coordinates):
Mn1 0.6250 0.3750 0.2500
Mn2 0.1250 0.3750 0.2500
Mn3 0.6249 0.3749 0.7502
Mn4 0.6250 0.8750 0.7500
O1 0.3819 0.6110 0.2363
O2 0.8469 0.6192 0.7623
O3 0.4031 0.1308 0.7377
O4 0.8697 0.5958 0.2606
O5 0.8681 0.1391 0.2637
O6 0.3908 0.6192 0.7623
O7 0.8592 0.1308 0.7377
O8 0.3804 0.1542 0.2393
Co1 0.9999 0.0002 0.0002
Co2 0.2501 0.7498 0.4997

The crystal system is monoclinic. As for the space-group type: C2/m. The calculation puts the formation energy at -1.84 eV per atom. The value obtained for the volume is 158.2 Å³/cell.

Record 9
The following is a PBE+U calculation of crystalline MnCo2O6 at its relaxed geometry, from the Materials Project database.

Cell lengths 6.4480, 6.4480, 5.7715 Å; angles 76.30, 76.30, 25.81 degrees
Atoms (fractional coordinates):
Co1 0.1681 0.1681 0.6642
Co2 0.8319 0.8319 0.3358
O1 0.9867 0.9867 0.2273
O2 0.6581 0.6581 0.8833
O3 0.3419 0.3419 0.1167
O4 0.3217 0.3217 0.5543
O5 0.6783 0.6783 0.4457
O6 0.0133 0.0133 0.7727
Mn1 0.5000 0.5000 0.0000

The crystal system is monoclinic. As for the space-group type: C2/m. The calculation puts the formation energy at -1.30 eV per atom. The value obtained for the volume is 101.3 Å³/cell.

Record 10
The following is a PBE+U calculation of crystalline Mn2Co5O12 at its relaxed geometry, from the Materials Project database.

Cell lengths 4.9103, 4.9103, 9.6472 Å; angles 84.09, 84.09, 120.04 degrees
Atoms (fractional coordinates):
O1 0.7103 0.5142 0.6105
O2 0.6398 0.1477 0.8924
O3 0.0502 0.2446 0.6212
O4 0.5373 0.7233 0.1066
O5 0.4858 0.2897 0.3895
O6 0.4045 0.8404 0.6093
O7 0.7554 0.9498 0.3788
O8 0.9558 0.7822 0.8896
O9 0.1596 0.5955 0.3907
O10 0.8523 0.3602 0.1076
O11 0.2767 0.4627 0.8934
O12 0.2178 0.0442 0.1104
Mn1 0.7680 0.2320 0.5000
Mn2 0.2482 0.7518 0.0000
Co1 0.9137 0.0863 0.0000
Co2 0.4272 0.5728 0.5000
Co3 0.4596 0.0182 0.2704
Co4 0.9818 0.5404 0.7296
Co5 0.5776 0.4224 0.0000

The crystal system is monoclinic. As for the space-group type: C2. The calculation puts the formation energy at -1.30 eV per atom. The value obtained for the volume is 197.1 Å³/cell.

Record 11
The following is a PBE+U calculation of crystalline Mn3Co2O8 at its relaxed geometry, from the Materials Project database.

Cell lengths 5.0240, 5.8725, 9.3962 Å; angles 90.00, 90.00, 90.00 degrees
Atoms (fractional coordinates):
O1 0.8389 0.2594 0.1049
O2 0.8389 0.7406 0.1049
O3 0.4788 0.2801 0.8777
O4 0.5212 0.7801 0.3777
O5 0.6831 0.5000 0.6057
O6 0.1611 0.7594 0.6049
O7 0.5212 0.2199 0.3777
O8 0.9677 0.5000 0.3864
O9 0.6623 0.0000 0.6080
O10 0.3169 0.0000 0.1057
O11 0.1611 0.2406 0.6049
O12 0.3377 0.5000 0.1080
O13 0.0323 0.0000 0.8864
O14 0.4788 0.7199 0.8777
O15 0.9955 0.0000 0.3932
O16 0.0045 0.5000 0.8932
Mn1 0.8373 0.2587 0.5005
Mn2 0.8373 0.7413 0.5005
Mn3 0.1627 0.7587 0.0005
Mn4 0.6724 0.5000 0.9988
Mn5 0.1627 0.2413 0.0005
Mn6 0.3276 0.0000 0.4988
Co1 0.3364 0.5000 0.3198
Co2 0.6723 0.0000 0.2139
Co3 0.6636 0.0000 0.8198
Co4 0.3277 0.5000 0.7139

The crystal system is orthorhombic. As for the space-group type: Pmn2_1. The calculation puts the formation energy at -1.69 eV per atom. The value obtained for the volume is 277.2 Å³/cell.

Record 12
The following is a PBE+U calculation of crystalline MnCo2O4 at its relaxed geometry, from the Materials Project database.

Cell lengths 5.7998, 5.8574, 10.1199 Å; angles 89.17, 106.23, 118.81 degrees
Atoms (fractional coordinates):
O1 0.7573 0.3643 0.1435
O2 0.7253 0.1040 0.3567
O3 0.2726 0.1739 0.3716
O4 0.7222 0.6021 0.8524
O5 0.7100 0.0945 0.8595
O6 0.7070 0.3661 0.6208
O7 0.2820 0.4006 0.1452
O8 0.2715 0.8952 0.6489
O9 0.2806 0.1256 0.8766
O10 0.2905 0.6300 0.3757
O11 0.2867 0.4000 0.6316
O12 0.7253 0.8782 0.1256
O13 0.2463 0.6371 0.8586
O14 0.2909 0.9064 0.1400
O15 0.7032 0.5951 0.3664
O16 0.7257 0.8318 0.6252
Co1 0.8789 0.6881 0.0601
Co2 0.4937 0.7436 0.7469
Co3 0.8699 0.1828 0.5616
Co4 0.1216 0.3111 0.9397
Co5 0.5050 0.2564 0.2527
Co6 0.4964 0.2484 0.7485
Co7 0.5033 0.7518 0.2512
Co8 0.4984 0.5001 0.4991
Mn1 0.0087 0.2610 0.2545
Mn2 0.9912 0.7416 0.7465
Mn3 0.1255 0.8198 0.4388
Mn4 0.5013 0.0000 0.0004

The crystal system is triclinic. As for the space-group type: P1. The calculation puts the formation energy at -1.56 eV per atom. The value obtained for the volume is 286.3 Å³/cell.

Record 13
The following is a PBE+U calculation of crystalline Mn2Co2O5 at its relaxed geometry, from the Materials Project database.

Cell lengths 3.6479, 3.6479, 7.2769 Å; angles 90.00, 90.00, 90.00 degrees
Atoms (fractional coordinates):
Mn1 0.0000 0.0000 0.5000
Mn2 0.0000 0.0000 0.0000
O1 0.0000 0.5000 0.1865
O2 0.5000 0.0000 0.1865
O3 0.5000 0.5000 0.5000
O4 0.5000 0.0000 0.8135
O5 0.0000 0.5000 0.8135
Co1 0.5000 0.5000 0.2389
Co2 0.5000 0.5000 0.7611

The crystal system is tetragonal. As for the space-group type: P4/mmm. The calculation puts the formation energy at -1.21 eV per atom. The value obtained for the volume is 96.8 Å³/cell.

Record 14
The following is a PBE+U calculation of crystalline Mn4CoO8 at its relaxed geometry, from the Materials Project database.

Cell lengths 5.8998, 5.8998, 6.0095 Å; angles 62.25, 62.25, 59.11 degrees
Atoms (fractional coordinates):
O1 0.2357 0.7142 0.8000
O2 0.2858 0.7643 0.2000
O3 0.7264 0.7264 0.8082
O4 0.2511 0.2511 0.7861
O5 0.2736 0.2736 0.1918
O6 0.7489 0.7489 0.2139
O7 0.7142 0.2357 0.8000
O8 0.7643 0.2858 0.2000
Mn1 0.0000 0.5000 0.0000
Mn2 0.5000 0.0000 0.0000
Mn3 0.5000 0.5000 0.5000
Mn4 0.0000 0.0000 0.0000
Co1 0.5000 0.5000 0.0000

The crystal system is monoclinic. As for the space-group type: C2/m. The calculation puts the formation energy at -1.73 eV per atom. The value obtained for the volume is 151.6 Å³/cell.

Record 15
The following is a PBE+U calculation of crystalline MnCo3P4O16 at its relaxed geometry, from the Materials Project database.

Cell lengths 5.9412, 4.8376, 9.7683 Å; angles 89.95, 90.00, 90.00 degrees
Atoms (fractional coordinates):
O1 0.2036 0.2716 0.1705
O2 0.0000 0.7322 0.1167
O3 0.2970 0.7405 0.8318
O4 0.5000 0.2254 0.3802
O5 0.5000 0.8571 0.5565
O6 0.2029 0.2399 0.6696
O7 0.7964 0.2716 0.1705
O8 0.7971 0.2399 0.6696
O9 0.0000 0.3546 0.9429
O10 0.7030 0.7405 0.8318
O11 0.0000 0.1530 0.4443
O12 0.5000 0.6565 0.0572
O13 0.5000 0.2768 0.8797
O14 0.2979 0.7605 0.3303
O15 0.7021 0.7605 0.3303
O16 0.0000 0.7764 0.6212
P1 0.0000 0.4185 0.0970
P2 0.5000 0.9108 0.4005
P3 0.5000 0.5917 0.9032
P4 0.0000 0.0919 0.5987
Co1 0.0000 0.5332 0.7710
Co2 0.5000 0.0329 0.7291
Co3 0.5000 0.4299 0.2140
Mn1 0.0000 0.9343 0.2834

The crystal system is monoclinic. As for the space-group type: Pm. The calculation puts the formation energy at -2.14 eV per atom. The value obtained for the volume is 280.8 Å³/cell.